Density functional theory data (meta-GGA r2SCAN) for a relaxed Ac2GaSi crystal.

Cell and atoms, written as CIF:
```
data_Ac2GaSi
_chemical_formula_sum 'Ac8 Ga4 Si4'
_symmetry_space_group_name_H-M 'F m -3 m'
_symmetry_Int_Tables_number 225
_symmetry_space_group_name_Hall '-F 4 2 3'
_cell_length_a 7.7816
_cell_length_b 7.7816
_cell_length_c 7.7816
_cell_angle_alpha 90.00
_cell_angle_beta 90.00
_cell_angle_gamma 90.00
loop_
_atom_site_label
_atom_site_fract_x
_atom_site_fract_y
_atom_site_fract_z
_atom_site_occupancy
Ac1 0.2500 0.2500 0.2500 1
Ga1 0.0000 0.0000 0.0000 1
Si1 0.0000 0.0000 0.5000 1
```

For the formation energy, the calculation gives -1.67 eV per formula unit. The total energy comes out at -39.79 eV per atom.

Density functional theory data (meta-GGA r2SCAN) for a relaxed AcGaTe2 crystal.

Cell and atoms, written as CIF:
```
data_AcGaTe2
_chemical_formula_sum 'Ac4 Ga4 Te8'
_symmetry_space_group_name_H-M 'F m -3 m'
_symmetry_Int_Tables_number 225
_symmetry_space_group_name_Hall '-F 4 2 3'
_cell_length_a 7.9921
_cell_length_b 7.9921
_cell_length_c 7.9921
_cell_angle_alpha 90.00
_cell_angle_beta 90.00
_cell_angle_gamma 90.00
loop_
_atom_site_label
_atom_site_fract_x
_atom_site_fract_y
_atom_site_fract_z
_atom_site_occupancy
Ac1 0.0000 0.0000 0.0000 1
Ga1 0.0000 0.0000 0.5000 1
Te1 0.2500 0.2500 0.2500 1
```

For the formation energy, the calculation gives -4.29 eV per formula unit. The total energy comes out at -33.80 eV per atom.

Density functional theory data (meta-GGA r2SCAN) for a relaxed Ac2ZnGa crystal.

Cell and atoms, written as CIF:
```
data_Ac2ZnGa
_chemical_formula_sum 'Ac8 Zn4 Ga4'
_symmetry_space_group_name_H-M 'F m -3 m'
_symmetry_Int_Tables_number 225
_symmetry_space_group_name_Hall '-F 4 2 3'
_cell_length_a 7.8295
_cell_length_b 7.8295
_cell_length_c 7.8295
_cell_angle_alpha 90.00
_cell_angle_beta 90.00
_cell_angle_gamma 90.00
loop_
_atom_site_label
_atom_site_fract_x
_atom_site_fract_y
_atom_site_fract_z
_atom_site_occupancy
Ac1 0.2500 0.2500 0.2500 1
Zn1 0.0000 0.0000 0.0000 1
Ga1 0.0000 0.0000 0.5000 1
```

For the formation energy, the calculation gives -1.51 eV per formula unit. The total energy comes out at -39.79 eV per atom.

Density functional theory data (meta-GGA r2SCAN) for a relaxed AcGe3 crystal.

Cell and atoms, written as CIF:
```
data_AcGe3
_chemical_formula_sum 'Ac2 Ge6'
_symmetry_space_group_name_H-M 'P 63/m m c'
_symmetry_Int_Tables_number 194
_symmetry_space_group_name_Hall '-P 6c 2c'
_cell_length_a 6.6484
_cell_length_b 6.6484
_cell_length_c 4.9117
_cell_angle_alpha 90.00
_cell_angle_beta 90.00
_cell_angle_gamma 120.00
loop_
_atom_site_label
_atom_site_fract_x
_atom_site_fract_y
_atom_site_fract_z
_atom_site_occupancy
Ac1 0.3333 0.6667 0.2500 1
Ge1 0.1349 0.2698 0.7500 1
```

For the formation energy, the calculation gives -1.78 eV per formula unit. The total energy comes out at -28.01 eV per atom.

Density functional theory data (meta-GGA r2SCAN) for a relaxed Ac2HgGe crystal.

Cell and atoms, written as CIF:
```
data_Ac2HgGe
_chemical_formula_sum 'Ac8 Hg4 Ge4'
_symmetry_space_group_name_H-M 'F m -3 m'
_symmetry_Int_Tables_number 225
_symmetry_space_group_name_Hall '-F 4 2 3'
_cell_length_a 7.9342
_cell_length_b 7.9342
_cell_length_c 7.9342
_cell_angle_alpha 90.00
_cell_angle_beta 90.00
_cell_angle_gamma 90.00
loop_
_atom_site_label
_atom_site_fract_x
_atom_site_fract_y
_atom_site_fract_z
_atom_site_occupancy
Ac1 0.2500 0.2500 0.2500 1
Hg1 0.0000 0.0000 0.0000 1
Ge1 0.0000 0.0000 0.5000 1
```

For the formation energy, the calculation gives -2.33 eV per formula unit. The total energy comes out at -50.71 eV per atom.

Density functional theory data (meta-GGA r2SCAN) for a relaxed Ac2NiGe crystal.

Cell and atoms, written as CIF:
```
data_Ac2NiGe
_chemical_formula_sum 'Ac8 Ni4 Ge4'
_symmetry_space_group_name_H-M 'F m -3 m'
_symmetry_Int_Tables_number 225
_symmetry_space_group_name_Hall '-F 4 2 3'
_cell_length_a 7.6108
_cell_length_b 7.6108
_cell_length_c 7.6108
_cell_angle_alpha 90.00
_cell_angle_beta 90.00
_cell_angle_gamma 90.00
loop_
_atom_site_label
_atom_site_fract_x
_atom_site_fract_y
_atom_site_fract_z
_atom_site_occupancy
Ac1 0.2500 0.2500 0.2500 1
Ni1 0.0000 0.0000 0.0000 1
Ge1 0.0000 0.0000 0.5000 1
```

For the formation energy, the calculation gives -1.38 eV per formula unit. The total energy comes out at -41.13 eV per atom.

Density functional theory data (meta-GGA r2SCAN) for a relaxed AcH2 crystal.

Cell and atoms, written as CIF:
```
data_AcH2
_chemical_formula_sum 'Ac4 H8'
_symmetry_space_group_name_H-M 'F m -3 m'
_symmetry_Int_Tables_number 225
_symmetry_space_group_name_Hall '-F 4 2 3'
_cell_length_a 5.9164
_cell_length_b 5.9164
_cell_length_c 5.9164
_cell_angle_alpha 90.00
_cell_angle_beta 90.00
_cell_angle_gamma 90.00
loop_
_atom_site_label
_atom_site_fract_x
_atom_site_fract_y
_atom_site_fract_z
_atom_site_occupancy
Ac1 0.0000 0.0000 0.0000 1
H1 0.2500 0.2500 0.2500 1
```

For the formation energy, the calculation gives -2.05 eV per formula unit. The total energy comes out at -25.87 eV per atom.

Density functional theory data (meta-GGA r2SCAN) for a relaxed AcHg3 crystal.

Cell and atoms, written as CIF:
```
data_AcHg3
_chemical_formula_sum 'Ac2 Hg6'
_symmetry_space_group_name_H-M 'P 63/m m c'
_symmetry_Int_Tables_number 194
_symmetry_space_group_name_Hall '-P 6c 2c'
_cell_length_a 7.1295
_cell_length_b 7.1295
_cell_length_c 5.0872
_cell_angle_alpha 90.00
_cell_angle_beta 90.00
_cell_angle_gamma 120.00
loop_
_atom_site_label
_atom_site_fract_x
_atom_site_fract_y
_atom_site_fract_z
_atom_site_occupancy
Ac1 0.3333 0.6667 0.2500 1
Hg1 0.1539 0.3077 0.7500 1
```

For the formation energy, the calculation gives -1.91 eV per formula unit. The total energy comes out at -54.66 eV per atom.

Density functional theory data (meta-GGA r2SCAN) for a relaxed AcMgHg2 crystal.

Cell and atoms, written as CIF:
```
data_AcMgHg2
_chemical_formula_sum 'Ac4 Mg4 Hg8'
_symmetry_space_group_name_H-M 'F m -3 m'
_symmetry_Int_Tables_number 225
_symmetry_space_group_name_Hall '-F 4 2 3'
_cell_length_a 7.5917
_cell_length_b 7.5917
_cell_length_c 7.5917
_cell_angle_alpha 90.00
_cell_angle_beta 90.00
_cell_angle_gamma 90.00
loop_
_atom_site_label
_atom_site_fract_x
_atom_site_fract_y
_atom_site_fract_z
_atom_site_occupancy
Ac1 0.0000 0.0000 0.0000 1
Mg1 0.0000 0.0000 0.5000 1
Hg1 0.2500 0.2500 0.2500 1
```

For the formation energy, the calculation gives -1.94 eV per formula unit. The total energy comes out at -43.37 eV per atom.

Density functional theory data (meta-GGA r2SCAN) for a relaxed Ac2SiHg crystal.

Cell and atoms, written as CIF:
```
data_Ac2SiHg
_chemical_formula_sum 'Ac8 Si4 Hg4'
_symmetry_space_group_name_H-M 'F m -3 m'
_symmetry_Int_Tables_number 225
_symmetry_space_group_name_Hall '-F 4 2 3'
_cell_length_a 7.8955
_cell_length_b 7.8955
_cell_length_c 7.8955
_cell_angle_alpha 90.00
_cell_angle_beta 90.00
_cell_angle_gamma 90.00
loop_
_atom_site_label
_atom_site_fract_x
_atom_site_fract_y
_atom_site_fract_z
_atom_site_occupancy
Ac1 0.2500 0.2500 0.2500 1
Si1 0.0000 0.0000 0.0000 1
Hg1 0.0000 0.0000 0.5000 1
```

For the formation energy, the calculation gives -1.85 eV per formula unit. The total energy comes out at -49.32 eV per atom.

Density functional theory data (meta-GGA r2SCAN) for a relaxed Ac2SnHg crystal.

Cell and atoms, written as CIF:
```
data_Ac2SnHg
_chemical_formula_sum 'Ac8 Sn4 Hg4'
_symmetry_space_group_name_H-M 'F m -3 m'
_symmetry_Int_Tables_number 225
_symmetry_space_group_name_Hall '-F 4 2 3'
_cell_length_a 8.1370
_cell_length_b 8.1370
_cell_length_c 8.1370
_cell_angle_alpha 90.00
_cell_angle_beta 90.00
_cell_angle_gamma 90.00
loop_
_atom_site_label
_atom_site_fract_x
_atom_site_fract_y
_atom_site_fract_z
_atom_site_occupancy
Ac1 0.2500 0.2500 0.2500 1
Sn1 0.0000 0.0000 0.0000 1
Hg1 0.0000 0.0000 0.5000 1
```

For the formation energy, the calculation gives -2.58 eV per formula unit. The total energy comes out at -53.49 eV per atom.

Density functional theory data (meta-GGA r2SCAN) for a relaxed AcTlHg2 crystal.

Cell and atoms, written as CIF:
```
data_AcTlHg2
_chemical_formula_sum 'Ac4 Tl4 Hg8'
_symmetry_space_group_name_H-M 'F m -3 m'
_symmetry_Int_Tables_number 225
_symmetry_space_group_name_Hall '-F 4 2 3'
_cell_length_a 7.7040
_cell_length_b 7.7040
_cell_length_c 7.7040
_cell_angle_alpha 90.00
_cell_angle_beta 90.00
_cell_angle_gamma 90.00
loop_
_atom_site_label
_atom_site_fract_x
_atom_site_fract_y
_atom_site_fract_z
_atom_site_occupancy
Ac1 0.0000 0.0000 0.0000 1
Tl1 0.0000 0.0000 0.5000 1
Hg1 0.2500 0.2500 0.2500 1
```

For the formation energy, the calculation gives -1.81 eV per formula unit. The total energy comes out at -55.59 eV per atom.

no.,total magnetization (μB/cell)
1,0.00
2,0.00
3,0.00
4,0.00
5,0.00
6,0.00
7,0.00
8,0.00
9,0.00
10,0.00
11,0.00
12,0.00